First-principles (GGA-PBE) data for Sm6Cu8P8O3 after structural relaxation, as listed in the Materials Project.

## Properties
* calculated density: 6.99 g cm⁻³
* DFT formation energy: -1.314 eV per atom
* space-group type: C222, No. 21
* energy: -6.00 eV/atom

Lattice parameters (Å, degrees): 13.431 13.431 5.557 90.00 90.00 156.15
Sites, in units of the cell vectors:
Sm  0.314  0.217  0.734
Sm  0.783  0.686  0.266
Sm  0.217  0.314  0.266
Sm  0.686  0.783  0.734
Sm  0.500  0.000  0.250
Sm  0.000  0.500  0.750
Cu  0.346  0.654  0.500
Cu  0.845  0.155  0.000
Cu  0.846  0.154  0.500
Cu  0.346  0.654  0.000
Cu  0.154  0.846  0.500
Cu  0.654  0.346  0.000
Cu  0.654  0.346  0.500
Cu  0.155  0.845  0.000
P  0.141  0.349  0.755
P  0.651  0.859  0.245
P  0.349  0.141  0.245
P  0.859  0.651  0.755
P  0.457  0.044  0.749
P  0.956  0.543  0.251
P  0.044  0.457  0.251
P  0.543  0.956  0.749
O  0.500  0.500  0.500
O  0.500  0.500  0.000
O  0.000  0.000  0.500